--- A ---
The following is a GGA+U calculation of a relaxed Fe2CuO4 crystal, from the Materials Project.

Computed properties:
**Spin magnetization**: 9.4 μB/f.u.

a b c (Å): 6.0519 6.0519 14.7094
angles (deg): 87.92 87.92 59.10
Closest atoms and distances in Å follow each position.
Element x y z (fractional)
Cu: 0.3320 0.3320 0.9157  4 O 1.99-2.03
Fe: 0.0003 0.4909 0.1252  6 O 2.00-2.08
Fe: 0.1669 0.6661 0.4591  6 O 2.03-2.09
Fe: 0.8399 0.3388 0.7915  6 O 2.02-2.08
O: 0.0275 0.4885 0.3784  2 Fe 1.94-2.09, 2 Cu 2.00-2.03
O: 0.6373 0.1654 0.2067  2 Fe 1.93-2.07, 2 Cu 2.01-2.07
O: 0.1580 0.1580 0.1983  3 Fe 1.91-2.02
Cu: 0.3304 0.3304 0.2922  4 O 2.00-2.01
O: 0.9732 0.5132 0.8704  2 Cu 1.99-2.03, 2 Fe 2.00-2.04
Fe: 0.4909 0.0003 0.1252  6 O 2.00-2.08
Cu: 0.4957 0.4957 0.1259  6 O 2.07-2.18
Fe: 0.3388 0.8399 0.7915  6 O 2.02-2.08
Fe: 0.6670 0.6670 0.9546  6 O 2.00-2.13
O: 0.1726 0.1726 0.7175  3 Fe 1.91-2.02
O: 0.5174 0.5174 0.8715  3 Fe 2.03, 1 Cu 2.03
Fe: 0.9871 0.9871 0.2479  4 O 1.91-1.93
Fe: 0.3452 0.3452 0.6722  4 O 1.91-1.94
O: 0.6971 0.1645 0.7119  2 Fe 1.93-2.08, 2 Cu 2.01-2.05
Fe: 0.0025 0.0025 0.0000  4 O 1.91-1.98
O: 0.4885 0.0275 0.3784  2 Fe 1.94-2.09, 2 Cu 2.00-2.03
O: 0.8218 0.8218 0.0439  4 Fe 1.98-2.13
Cu: 0.0024 0.0024 0.6259  4 O 2.01
O: 0.8292 0.8292 0.5307  3 Fe 1.92-2.03
Fe: 0.6574 0.6574 0.5788  4 O 1.92-1.94
Cu: 0.1667 0.1667 0.4587  4 O 2.02-2.03
O: 0.1654 0.6373 0.2067  2 Fe 1.93-2.07, 2 Cu 2.01-2.07
O: 0.6632 0.6632 0.7096  3 Fe 1.93-2.05
O: 0.6673 0.6673 0.2035  3 Fe 1.96-2.06, 1 Cu 2.18
Fe: 0.6751 0.6751 0.3361  4 O 1.91-1.96
O: 0.3531 0.8257 0.0434  3 Fe 1.94-2.08, 1 Cu 2.08
O: 0.1645 0.6971 0.7119  2 Fe 1.93-2.08, 2 Cu 2.01-2.05
O: 0.9873 0.9873 0.3783  3 Fe 1.92-2.03
Fe: 0.6661 0.1669 0.4591  6 O 2.03-2.09
O: 0.3304 0.3304 0.0521  2 Fe 2.00, 2 Cu 2.01-2.09
O: 0.3038 0.8456 0.5383  2 Fe 1.94-2.08, 2 Cu 2.01-2.02
O: 0.8456 0.3038 0.5383  2 Fe 1.94-2.08, 2 Cu 2.01-2.02
O: 0.8257 0.3531 0.0434  3 Fe 1.94-2.08, 1 Cu 2.08
O: 0.3468 0.3468 0.5401  3 Fe 1.94-2.03
O: 0.5132 0.9732 0.8704  2 Cu 1.99-2.03, 2 Fe 2.00-2.04
O: 0.0070 0.0070 0.8703  3 Fe 1.91-2.06
Cu: 0.8353 0.8353 0.7904  6 O 2.03-2.21
O: 0.5044 0.5044 0.3863  3 Fe 1.91-2.04

=====

--- B ---
The following is a GGA+U calculation of a relaxed Fe2CuO4 crystal, from the Materials Project.

Computed properties:
**Spin magnetization**: 9.0 μB/f.u.

a b c (Å): 6.0205 6.0200 6.0204
angles (deg): 90.27 60.16 120.45
Closest atoms and distances in Å follow each position.
Element x y z (fractional)
O: 0.7285 0.1394 0.1320  1 Cu 2.01, 3 Fe 2.01-2.04
Cu: 0.9999 0.0034 0.9966  4 O 1.99-2.01
O: 0.7714 0.6106 0.6181  1 Cu 2.01, 3 Fe 2.01-2.04
O: 0.2687 0.1343 0.1343  1 Cu 1.99, 3 Fe 2.05-2.06
Fe: 0.7500 0.3750 0.3750  6 O 2.04-2.06
O: 0.2716 0.1396 0.5891  1 Cu 2.01, 3 Fe 2.01-2.04
Fe: 0.2500 0.8750 0.3750  6 O 2.04-2.06
O: 0.7312 0.5968 0.1345  1 Cu 1.99, 3 Fe 2.05-2.06
O: 0.2285 0.6104 0.1608  1 Cu 2.01, 3 Fe 2.01-2.04
O: 0.7686 0.1529 0.6156  1 Cu 1.99, 3 Fe 2.05-2.06
O: 0.2315 0.6159 0.6158  1 Cu 1.99, 3 Fe 2.05-2.06
Cu: 0.5000 0.7467 0.7532  4 O 1.99-2.01
Fe: 0.7500 0.3750 0.8750  6 O 2.01-2.05
Fe: 0.2500 0.3750 0.3750  6 O 2.01-2.05

=====

Stability ranking, top and bottom: B is the most stable and A is the least stable.

=====

--- A ---
The following is a GGA+U calculation of a relaxed Li2CrO4 crystal, from the Materials Project.

Computed properties:
**Spin magnetization**: 0.0 μB/f.u.

a b c (Å): 9.7951 7.7450 9.7689
angles (deg): 86.89 90.00 90.00
Closest atoms and distances in Å follow each position.
Element x y z (fractional)
O: 0.2314 0.4441 0.2612  1 Cr 1.68
Li: 0.5952 0.9030 0.6499  3 O 1.90-1.97
O: 0.3015 0.7794 0.5242  1 Cr 1.65
Li: 0.8720 0.1506 0.4111  4 O 1.95-2.09
Cr: 0.8739 0.3297 0.8666  4 O 1.64-1.69
O: 0.9513 0.4539 0.9728  1 Cr 1.64
O: 0.9816 0.7309 0.7311  1 Cr 1.62
Cr: 0.6147 0.1912 0.3814  4 O 1.64-1.68
Li: 0.4057 0.5386 0.3494  3 O 1.90-2.06
O: 0.7876 0.7117 0.5400  1 Cr 1.66
O: 0.0254 0.9853 0.0281  1 Cr 1.72
O: 0.4875 0.6882 0.2060  1 Cr 1.71, 1 Li 1.90
O: 0.7182 0.0933 0.2720  1 Cr 1.68
Li: 0.3790 0.1996 0.5649  3 O 1.95-2.04
Li: 0.4048 0.9030 0.1499  3 O 1.90-1.97
O: 0.9936 0.2357 0.7744  1 Cr 1.67
O: 0.0064 0.2357 0.2744  1 Cr 1.67
O: 0.2124 0.7117 0.0400  1 Cr 1.66
O: 0.5007 0.3034 0.7924  1 Cr 1.64
O: 0.9746 0.9853 0.5281  1 Cr 1.72
O: 0.0184 0.7309 0.2311  1 Cr 1.62
Li: 0.8957 0.1223 0.1389  4 O 1.96-2.18
O: 0.7720 0.9513 0.7292  1 Cr 1.67
O: 0.7464 0.5586 0.2401  1 Cr 1.60
Li: 0.6172 0.4722 0.5982  4 O 2.03-2.27
Cr: 0.3648 0.6253 0.6290  4 O 1.60-1.72
Li: 0.1280 0.1506 0.9111  4 O 1.95-2.09
Li: 0.5943 0.5386 0.8494  3 O 1.90-2.06
O: 0.2818 0.0933 0.7720  1 Cr 1.68
O: 0.5344 0.0546 0.4932  1 Cr 1.67
Cr: 0.3853 0.1912 0.8814  4 O 1.64-1.68
Li: 0.3828 0.4722 0.0982  4 O 2.03-2.27
Li: 0.1043 0.1223 0.6389  4 O 1.96-2.18
Li: 0.1583 0.9146 0.4236  4 O 1.98-2.16
O: 0.7919 0.1768 0.9648  1 Cr 1.69
O: 0.4993 0.3034 0.2924  1 Cr 1.64
O: 0.6985 0.7794 0.0242  1 Cr 1.65
Li: 0.1095 0.4990 0.0844  3 O 1.94-2.12
O: 0.4179 0.4564 0.5355  1 Cr 1.72, 1 Li 1.90
O: 0.2823 0.3120 0.9748  1 Cr 1.68
O: 0.7177 0.3120 0.4748  1 Cr 1.68
O: 0.4656 0.0546 0.9932  1 Cr 1.67
O: 0.2280 0.9513 0.2292  1 Cr 1.67
Cr: 0.8794 0.8439 0.6314  4 O 1.62-1.72
Li: 0.8905 0.4990 0.5844  3 O 1.94-2.12
Li: 0.8417 0.9146 0.9236  4 O 1.98-2.16
O: 0.7686 0.4441 0.7612  1 Cr 1.68
O: 0.2081 0.1768 0.4648  1 Cr 1.69
O: 0.0487 0.4539 0.4728  1 Cr 1.64
Cr: 0.1261 0.3297 0.3666  4 O 1.64-1.69
Li: 0.6210 0.1996 0.0649  3 O 1.95-2.04
O: 0.5125 0.6882 0.7060  1 Cr 1.71, 1 Li 1.90
O: 0.2536 0.5586 0.7401  1 Cr 1.60
O: 0.5821 0.4564 0.0355  1 Cr 1.72, 1 Li 1.90
Cr: 0.1206 0.8439 0.1314  4 O 1.62-1.72
Cr: 0.6352 0.6253 0.1290  4 O 1.60-1.72

=====

--- B ---
The following is a GGA+U calculation of a relaxed Li2CrO4 crystal, from the Materials Project.

Computed properties:
**Spin magnetization**: 0.0 μB/f.u.
**Piezoelectric modulus e_max**: 0.4 C/m2

a b c (Å): 5.1935 5.2860 7.7728
angles (deg): 82.79 109.19 114.05
Closest atoms and distances in Å follow each position.
Element x y z (fractional)
O: 0.7931 0.1801 0.9444  1 Cr 1.69
O: 0.7155 0.9608 0.3777  1 Cr 1.68
O: 0.5020 0.4874 0.1846  1 Cr 1.67
Li: 0.0591 0.2767 0.5645  5 O 2.03-2.21
O: 0.1476 0.5438 0.3555  1 Cr 1.70
Li: 0.7688 0.2837 0.1782  4 O 2.02-2.15
O: 0.2587 0.8750 0.0725  1 Cr 1.64
O: 0.8244 0.4580 0.6279  1 Cr 1.66
Li: 0.9804 0.7413 0.4664  4 O 1.90-2.05
Li: 0.1994 0.2374 0.9787  4 O 1.94-2.07
O: 0.4250 0.4506 0.7965  1 Cr 1.66
Cr: 0.5962 0.2773 0.7480  4 O 1.65-1.69
O: 0.3217 0.0195 0.6170  1 Cr 1.65
Cr: 0.4059 0.7176 0.2483  4 O 1.64-1.70

=====

Stability ranking, top and bottom: B is the most stable and A is the least stable.

=====

--- A ---
The following is a GGA+U calculation of a relaxed CrSbP2O8 crystal, from the Materials Project.

Computed properties:
**Spin magnetization**: 3.0 μB/f.u.

a b c (Å): 6.1463 4.9462 10.5018
angles (deg): 89.89 90.00 90.00
Closest atoms and distances in Å follow each position.
Element x y z (fractional)
P: 0.7500 0.1314 0.6120  4 O 1.50-1.60
O: 0.4421 0.7137 0.3151  1 P 1.60
O: 0.7500 0.1886 0.4713  1 P 1.50
O: 0.7500 0.3362 0.9426  1 P 1.52
O: 0.4489 0.7221 0.8450  1 P 1.59
O: 0.0511 0.7221 0.8450  1 P 1.59
O: 0.2500 0.6638 0.0574  1 P 1.52
O: 0.2500 0.1705 0.3560  1 P 1.53
Cr: 0.2500 0.4441 0.2153  6 O 1.98-2.12
P: 0.2500 0.8686 0.3880  4 O 1.50-1.60
O: 0.7500 0.7234 0.1002  1 P 1.54
P: 0.7500 0.4146 0.0828  4 O 1.52-1.59
O: 0.5511 0.2779 0.1550  1 P 1.59
Sb: 0.7500 0.9576 0.2706  5 O 2.13-2.34
O: 0.9421 0.2863 0.6849  1 P 1.60
O: 0.9489 0.2779 0.1550  1 P 1.59
O: 0.2500 0.8114 0.5287  1 P 1.50
P: 0.2500 0.5854 0.9172  4 O 1.52-1.59
O: 0.7500 0.8295 0.6440  1 P 1.53
O: 0.0579 0.7137 0.3151  1 P 1.60
Cr: 0.7500 0.5559 0.7847  6 O 1.98-2.12
Sb: 0.2500 0.0424 0.7294  5 O 2.13-2.34
O: 0.2500 0.2766 0.8998  1 P 1.54
O: 0.5579 0.2863 0.6849  1 P 1.60

=====

--- B ---
The following is a GGA+U calculation of a relaxed CrSbP2O8 crystal, from the Materials Project.

Computed properties:
**Spin magnetization**: 3.0 μB/f.u.

a b c (Å): 10.8906 5.8928 4.9499
angles (deg): 90.00 95.57 89.99
Closest atoms and distances in Å follow each position.
Element x y z (fractional)
Cr: 0.2018 0.7496 0.4278  6 O 1.98-2.09
O: 0.3115 0.5471 0.7011  1 P 1.62
O: 0.6885 0.4528 0.2990  1 P 1.62
Cr: 0.7982 0.2502 0.5722  6 O 1.98-2.09
P: 0.0724 0.2499 0.3814  4 O 1.53-1.58
O: 0.8685 0.9597 0.7553  1 P 1.58
O: 0.0680 0.7500 0.6721  1 P 1.53
O: 0.6885 0.0472 0.2990  1 P 1.62
O: 0.9320 0.2500 0.3278  1 P 1.53
O: 0.3115 0.9528 0.7010  1 P 1.62
O: 0.1316 0.0404 0.2447  1 P 1.58
O: 0.3314 0.7499 0.1630  1 P 1.53
P: 0.9276 0.7501 0.6186  4 O 1.53-1.58
O: 0.1088 0.2500 0.6916  1 P 1.55
Sb: 0.7338 0.7502 0.0449  3 O 2.05-2.24
O: 0.4851 0.2500 0.1222  1 P 1.50
O: 0.6686 0.2500 0.8370  1 P 1.53
P: 0.6223 0.2500 0.1196  4 O 1.50-1.62
O: 0.8685 0.5405 0.7554  1 P 1.58
Sb: 0.2663 0.2499 0.9551  3 O 2.05-2.24
O: 0.1315 0.4594 0.2446  1 P 1.58
O: 0.5149 0.7500 0.8779  1 P 1.50
P: 0.3777 0.7500 0.8805  4 O 1.50-1.62
O: 0.8912 0.7500 0.3084  1 P 1.55

=====

Stability ranking, top and bottom: B is the most stable and A is the least stable.